A plane-wave DFT calculation with PBE was carried out for CaTeO4 after structural relaxation.

space group	Pna2_1, No. 33
ΔH_f (0 K)	-2.0517	eV/atom

The structure in POSCAR format:
```
CaTeO4
1.0
9.036 0.000 0.000
0.000 6.465 0.000
0.000 0.000 14.348
Ca Te O
8 8 32
direct
0.021 0.153 0.000
0.159 0.657 0.135
0.341 0.157 0.635
0.479 0.653 0.500
0.521 0.347 0.000
0.659 0.843 0.135
0.841 0.343 0.635
0.979 0.847 0.500
0.117 0.306 0.454
0.206 0.705 0.682
0.294 0.205 0.182
0.383 0.806 0.954
0.617 0.194 0.454
0.706 0.795 0.682
0.794 0.295 0.182
0.883 0.694 0.954
0.003 0.533 0.425
0.009 0.639 0.659
0.068 0.207 0.574
0.099 0.069 0.385
0.182 0.974 0.198
0.189 0.874 0.981
0.231 0.929 0.760
0.247 0.820 0.564
0.253 0.320 0.064
0.269 0.429 0.260
0.311 0.374 0.481
0.318 0.474 0.698
0.401 0.569 0.885
0.432 0.707 0.074
0.491 0.139 0.159
0.497 0.033 0.925
0.503 0.967 0.425
0.509 0.861 0.659
0.568 0.293 0.574
0.599 0.431 0.385
0.682 0.526 0.198
0.689 0.626 0.981
0.731 0.571 0.760
0.747 0.680 0.564
0.753 0.180 0.064
0.769 0.071 0.260
0.811 0.126 0.481
0.818 0.026 0.698
0.901 0.931 0.885
0.932 0.793 0.074
0.991 0.361 0.159
0.997 0.467 0.925
```